A relaxed Li2V2P3O12 crystal, computed with PBE with a Hubbard U.

Structure (POSCAR):
```
Li2V2P3O12
1.0
8.652 0.000 0.000
-0.089 8.723 0.000
-0.006 -0.022 12.188
P V O Li
12 8 48 8
direct
0.542 0.251 0.002
0.388 0.604 0.356
0.605 0.399 0.647
0.604 0.102 0.353
0.961 0.748 0.503
0.106 0.101 0.148
0.101 0.394 0.852
0.465 0.751 0.001
0.893 0.609 0.146
0.388 0.893 0.646
0.895 0.897 0.856
0.044 0.251 0.497
0.256 0.462 0.111
0.251 0.532 0.617
0.246 0.957 0.387
0.258 0.042 0.885
0.746 0.040 0.614
0.747 0.541 0.888
0.742 0.459 0.383
0.749 0.970 0.116
0.424 0.082 0.344
0.571 0.856 0.071
0.074 0.895 0.845
0.156 0.437 0.967
0.066 0.644 0.571
0.638 0.270 0.324
0.446 0.353 0.077
0.062 0.858 0.430
0.139 0.228 0.820
0.927 0.083 0.156
0.676 0.518 0.731
0.656 0.057 0.467
0.072 0.603 0.156
0.161 0.066 0.033
0.176 0.983 0.229
0.306 0.484 0.280
0.948 0.351 0.419
0.361 0.836 0.921
0.651 0.344 0.925
0.335 0.728 0.678
0.658 0.440 0.532
0.565 0.641 0.930
0.143 0.348 0.577
0.565 0.900 0.659
0.329 0.767 0.323
0.675 0.985 0.270
0.447 0.149 0.924
0.362 0.663 0.083
0.149 0.266 0.185
0.343 0.566 0.474
0.837 0.021 0.774
0.921 0.409 0.844
0.843 0.567 0.028
0.951 0.143 0.572
0.831 0.489 0.228
0.837 0.771 0.177
0.427 0.415 0.655
0.855 0.661 0.421
0.156 0.161 0.420
0.564 0.606 0.339
0.340 0.930 0.527
0.859 0.839 0.583
0.843 0.940 0.972
0.173 0.513 0.771
0.645 0.153 0.077
0.654 0.236 0.681
0.305 0.009 0.722
0.834 0.735 0.823
0.080 0.089 0.702
0.714 0.774 0.318
0.306 0.266 0.312
0.218 0.774 0.181
0.712 0.729 0.683
0.038 0.413 0.280
0.218 0.723 0.821
0.775 0.227 0.819
```

Its space group is P1, No. 1. For the offset from the most stable computed form, the calculation gives 10 kJ/mol of formula units. The calculation puts the energy of formation at -2.691 eV per atom. The calculation puts the size of the total moment at 3.00 μB/f.u.


A relaxed Ca12Mn8Si7H15O48 crystal, computed with PBE with a Hubbard U.

Structure (POSCAR):
```
Ca12Mn8Si7H15O48
1.0
11.551 0.000 0.000
-5.645 10.099 0.000
-5.574 -3.467 10.204
O Ca Mn H Si
48 12 8 15 7
direct
0.424 0.738 0.155
0.904 0.574 0.470
0.589 0.873 0.724
0.991 0.781 0.312
0.690 0.662 0.084
0.527 0.366 0.230
0.423 0.164 0.017
0.157 0.208 0.536
0.411 0.106 0.231
0.018 0.916 0.519
0.013 0.348 0.371
0.868 0.588 0.961
0.401 0.603 0.342
0.189 0.132 0.743
0.488 0.886 0.410
0.549 0.625 0.622
0.986 0.326 0.986
0.083 0.544 0.146
0.881 0.052 0.559
0.215 0.172 0.052
0.811 0.053 0.317
0.074 0.599 0.361
0.026 0.308 0.711
0.855 0.332 0.477
0.516 0.660 0.815
0.633 0.190 0.939
0.298 0.859 0.511
0.919 0.995 0.036
0.640 0.475 0.550
0.027 0.751 0.689
0.691 0.186 0.191
0.716 0.131 0.600
0.349 0.432 0.888
0.381 0.487 0.138
0.161 0.773 0.944
0.165 0.789 0.241
0.532 0.115 0.677
0.599 0.961 0.006
0.785 0.384 0.778
0.336 0.947 0.844
0.169 0.569 0.612
0.922 0.101 0.803
0.653 0.717 0.318
0.812 0.804 0.840
0.897 0.163 0.160
0.118 0.964 0.867
0.313 0.335 0.342
0.563 0.423 0.845
0.342 0.872 0.185
0.630 0.308 0.426
0.352 0.798 0.709
0.937 0.784 0.107
0.865 0.616 0.758
0.767 0.108 0.892
0.649 0.832 0.154
0.768 0.622 0.295
0.124 0.393 0.233
0.424 0.181 0.777
0.159 0.331 0.938
0.223 0.412 0.670
0.538 0.089 0.015
0.501 0.518 0.449
0.997 0.486 0.449
0.930 0.454 0.971
0.003 0.999 0.930
0.059 0.079 0.582
0.511 0.984 0.553
0.540 0.529 0.930
0.751 0.522 0.920
0.317 0.282 0.283
0.718 0.031 0.061
0.213 0.060 0.895
0.960 0.077 0.105
0.569 0.559 0.662
0.914 0.326 0.565
0.695 0.385 0.765
0.631 0.205 0.702
0.022 0.862 0.583
0.445 0.787 0.403
0.811 0.055 0.399
0.440 0.440 0.175
0.963 0.640 0.561
0.104 0.636 0.180
0.625 0.755 0.761
0.396 0.200 0.134
0.136 0.763 0.362
0.464 0.643 0.241
0.857 0.193 0.266
0.883 0.146 0.669
0.168 0.853 0.838
```

Its space group is P1, No. 1. The calculation puts the energy of formation at -2.339 eV per atom. The calculation puts the size of the total moment at 27.00 μB/f.u.


A relaxed MgCr4O12 crystal, computed with PBE with a Hubbard U.

Structure (POSCAR):
```
MgCr4O12
1.0
6.524 0.013 0.214
0.008 4.980 -0.279
3.490 -0.509 9.861
Cr O Mg
4 12 1
direct
0.853 0.020 0.313
0.122 0.969 0.705
0.366 0.480 0.794
0.644 0.525 0.197
0.315 0.392 0.952
0.883 0.110 0.785
0.635 0.806 0.323
0.605 0.589 0.722
0.834 0.145 0.463
0.867 0.304 0.212
0.330 0.209 0.682
0.088 0.840 0.224
0.397 0.390 0.236
0.145 0.824 0.557
0.740 0.636 0.050
0.167 0.733 0.810
0.176 0.457 0.153
```

Its space group is P1, No. 1. For the offset from the most stable computed form, the calculation gives 93 kJ/mol of formula units. The calculation puts the energy of formation at -1.711 eV per atom. The calculation puts the size of the total moment at 2.00 μB/f.u.


A relaxed Li6CrFeP2C2O14 crystal, computed with PBE with a Hubbard U.

Structure (POSCAR):
```
Li6CrFeP2C2O14
1.0
-7.141 1.047 4.778
2.237 -0.623 4.459
1.145 6.345 0.314
Li O C Fe P Cr
6 14 2 1 2 1
direct
0.729 0.723 0.979
0.111 0.792 0.250
0.271 0.275 0.481
0.895 0.204 0.750
0.270 0.275 0.018
0.728 0.724 0.521
0.837 0.486 0.250
0.575 0.824 0.250
0.418 0.426 0.250
0.425 0.178 0.750
0.899 0.603 0.750
0.063 0.925 0.750
0.572 0.584 0.750
0.309 0.851 0.437
0.949 0.066 0.250
0.691 0.159 0.936
0.691 0.160 0.564
0.309 0.852 0.062
0.100 0.405 0.250
0.160 0.496 0.750
0.964 0.317 0.250
0.038 0.676 0.750
0.332 0.794 0.750
0.409 0.736 0.250
0.588 0.271 0.750
0.667 0.199 0.250
```

Its space group is Pm, No. 6. The calculation puts the energy of formation at -2.367 eV per atom. The calculation puts the size of the total moment at 8.00 μB/f.u.


A relaxed MnCuAg2O4 crystal, computed with PBE with a Hubbard U.

Structure (POSCAR):
```
MnCuAg2O4
1.0
-2.426 -0.061 1.882
1.411 -4.808 1.662
3.925 0.947 5.091
Mn Cu O Ag
1 1 4 2
direct
0.500 0.000 0.500
0.000 0.500 0.500
0.000 0.897 0.337
0.500 0.624 0.660
0.500 0.376 0.340
0.000 0.103 0.663
0.500 0.500 0.000
0.000 0.000 0.000
```

Its space group is P2/m, No. 10. The calculation puts the energy of formation at -1.040 eV per atom. The calculation puts the size of the total moment at 4.81 μB/f.u.


A relaxed Li7Cr3W2O16 crystal, computed with PBE with a Hubbard U.

Structure (POSCAR):
```
Li7Cr3W2O16
1.0
-2.865 3.461 -3.842
-0.573 -1.651 -5.647
-8.328 -4.477 2.109
O W Li Cr
16 2 7 3
direct
0.353 0.353 0.390
0.498 0.042 0.159
0.700 0.700 0.887
0.961 0.537 0.645
0.826 0.826 0.399
0.518 0.518 0.645
0.480 0.480 0.159
0.537 0.961 0.645
0.655 0.175 0.914
0.992 0.992 0.201
0.980 0.980 0.706
0.042 0.498 0.159
0.174 0.174 0.925
0.826 0.336 0.410
0.175 0.655 0.914
0.336 0.826 0.410
0.647 0.647 0.512
0.335 0.335 0.004
0.000 0.000 0.004
0.668 0.668 0.098
0.995 0.995 0.512
0.830 0.338 0.790
0.338 0.830 0.790
0.165 0.165 0.291
0.336 0.336 0.597
0.157 0.653 0.280
0.653 0.157 0.280
0.820 0.820 0.764
```

Its space group is Cm, No. 8. The calculation puts the energy of formation at -2.211 eV per atom. The calculation puts the size of the total moment at 5.00 μB/f.u.


What did the sixth record say?
A relaxed Li7Cr3W2O16 crystal, computed with PBE with a Hubbard U.

Structure (POSCAR):
```
Li7Cr3W2O16
1.0
-2.865 3.461 -3.842
-0.573 -1.651 -5.647
-8.328 -4.477 2.109
O W Li Cr
16 2 7 3
direct
0.353 0.353 0.390
0.498 0.042 0.159
0.700 0.700 0.887
0.961 0.537 0.645
0.826 0.826 0.399
0.518 0.518 0.645
0.480 0.480 0.159
0.537 0.961 0.645
0.655 0.175 0.914
0.992 0.992 0.201
0.980 0.980 0.706
0.042 0.498 0.159
0.174 0.174 0.925
0.826 0.336 0.410
0.175 0.655 0.914
0.336 0.826 0.410
0.647 0.647 0.512
0.335 0.335 0.004
0.000 0.000 0.004
0.668 0.668 0.098
0.995 0.995 0.512
0.830 0.338 0.790
0.338 0.830 0.790
0.165 0.165 0.291
0.336 0.336 0.597
0.157 0.653 0.280
0.653 0.157 0.280
0.820 0.820 0.764
```

Its space group is Cm, No. 8. The calculation puts the energy of formation at -2.211 eV per atom. The calculation puts the size of the total moment at 5.00 μB/f.u.


- Among the records above, which one has the lowest size of the total moment?
  MgCr4O12